## Mn5Ge3 (r²SCAN)

Data for a geometry-optimized Mn5Ge3 structure.

```
Mn5Ge3
1.0
7.198 0.001 0.000
-3.598 6.238 0.000
0.000 0.000 4.998
Mn Ge
10 6
Direct
0.242 0.241 0.750
0.000 0.759 0.750
0.759 0.000 0.750
0.241 0.000 0.250
0.333 0.667 0.000
0.758 0.759 0.250
0.667 0.333 0.000
0.000 0.241 0.250
0.333 0.667 0.500
0.667 0.333 0.500
0.605 0.000 0.250
0.606 0.606 0.750
0.000 0.606 0.250
0.000 0.394 0.750
0.394 0.394 0.250
0.395 0.000 0.750
```

Properties
Formation energy   -0.28 eV/atom
E   -234.61 eV per cell
Density   7.29 g cm⁻³
Total magnetic moment   1.933 μB/atom
Crystal system   hexagonal

---

## MnGe2 (r²SCAN)

Data for a geometry-optimized MnGe2 structure.

```
MnGe2
1.0
2.755 -0.630 4.029
-4.578 -1.804 -0.060
2.373 -2.439 -3.556
Mn Ge
2 4
Direct
0.750 0.750 0.000
0.250 0.250 0.000
0.659 0.159 0.817
0.159 0.341 0.500
0.841 0.659 0.500
0.341 0.841 0.183
```

Properties
Formation energy   0.02 eV/atom
E   -84.71 eV per cell
Density   7.40 g cm⁻³
Total magnetic moment   0.722 μB/atom
Crystal system   tetragonal

---

## MnGeO3 (r²SCAN)

Data for a geometry-optimized MnGeO3 structure.

```
MnGeO3
1.0
1.825 -4.595 0.861
-4.797 -2.241 -1.792
2.367 3.087 -3.170
Mn Ge O
2 2 6
Direct
0.363 0.089 0.726
0.637 0.911 0.274
0.843 0.529 0.686
0.157 0.471 0.314
0.439 0.277 0.484
0.793 0.277 0.232
0.045 0.277 0.838
0.561 0.723 0.516
0.207 0.723 0.768
0.955 0.723 0.162
```

Properties
Formation energy   -1.95 eV/atom
E   -112.41 eV per cell
Density   5.59 g cm⁻³
Total magnetic moment   0.000 μB/atom
Crystal system   trigonal

---

## MnGeO3 (r²SCAN)

Data for a geometry-optimized MnGeO3 structure.

```
MnGeO3
1.0
0.012 0.000 5.259
-4.863 4.617 0.990
-4.863 -4.617 0.990
Mn Ge O
4 4 12
Direct
0.250 0.905 0.095
0.250 0.274 0.726
0.750 0.095 0.905
0.750 0.726 0.274
0.718 0.609 0.793
0.782 0.207 0.391
0.282 0.391 0.207
0.218 0.793 0.609
0.641 0.790 0.972
0.859 0.028 0.210
0.359 0.210 0.028
0.141 0.972 0.790
0.879 0.379 0.858
0.621 0.142 0.621
0.121 0.621 0.142
0.379 0.858 0.379
0.417 0.578 0.706
0.083 0.294 0.422
0.583 0.422 0.294
0.917 0.706 0.578
```

Properties
Formation energy   -1.93 eV/atom
E   -224.57 eV per cell
Density   4.94 g cm⁻³
Total magnetic moment   0.000 μB/atom
Crystal system   monoclinic

---

## MnGeRh2 (r²SCAN)

Data for a geometry-optimized MnGeRh2 structure.

```
MnGeRh2
1.0
3.699 0.000 2.136
1.233 3.488 2.136
0.000 0.000 4.272
Mn Ge Rh
1 1 2
Direct
0.500 0.500 0.500
0.000 0.000 0.000
0.250 0.250 0.250
0.750 0.750 0.750
```

Properties
Formation energy   -0.62 eV/atom
E   -79.33 eV per cell
Density   10.04 g cm⁻³
Total magnetic moment   1.251 μB/atom
Crystal system   cubic

---

## MnGeRh (r²SCAN)

Data for a geometry-optimized MnGeRh structure.

```
MnGeRh
1.0
-3.276 3.587 5.629
3.275 -3.586 5.628
3.276 3.587 -5.629
Mn Ge Rh
6 6 6
Direct
0.944 0.992 0.548
0.056 0.605 0.048
0.533 0.560 0.526
0.467 0.993 0.026
0.743 0.398 0.155
0.257 0.412 0.655
0.725 0.974 0.749
0.837 0.330 0.501
0.163 0.664 0.493
0.275 0.025 0.249
0.329 0.330 0.993
0.671 0.664 0.001
0.000 0.741 0.741
0.500 0.741 0.241
0.341 0.000 0.597
0.097 0.256 0.097
0.903 0.000 0.159
0.659 0.256 0.659
```

Properties
Formation energy   -0.58 eV/atom
E   -326.66 eV per cell
Density   8.68 g cm⁻³
Total magnetic moment   1.350 μB/atom
Crystal system   orthorhombic

---

## MnGeRh (r²SCAN)

Data for a geometry-optimized MnGeRh structure.

```
MnGeRh
1.0
-0.429 -2.680 -2.399
2.523 3.779 -4.673
3.900 -3.815 3.565
Mn Ge Rh
3 3 3
Direct
0.500 0.592 0.000
0.500 0.408 0.408
0.500 0.000 0.592
0.000 0.333 0.667
0.000 0.667 0.333
0.500 0.000 0.000
0.000 0.257 0.000
0.000 0.743 0.743
0.000 0.000 0.257
```

Properties
Formation energy   -0.58 eV/atom
E   -163.29 eV per cell
Density   8.62 g cm⁻³
Total magnetic moment   1.363 μB/atom
Crystal system   hexagonal

---

## Mn2GeRu (r²SCAN)

Data for a geometry-optimized Mn2GeRu structure.

```
Mn2GeRu
1.0
0.000 3.004 3.004
3.004 0.000 3.004
3.004 3.004 0.000
Mn Ge Ru
2 1 1
Direct
0.500 0.500 0.500
0.750 0.750 0.750
0.000 0.000 0.000
0.250 0.250 0.250
```

Properties
Formation energy   -0.27 eV/atom
E   -69.75 eV per cell
Density   8.68 g cm⁻³
Total magnetic moment   0.229 μB/atom
Crystal system   cubic

---

## ScMnGe2 (r²SCAN)

Data for a geometry-optimized ScMnGe2 structure.

```
ScMnGe2
1.0
7.980 0.000 0.000
0.000 9.611 0.000
0.000 0.000 10.552
Sc Mn Ge
12 12 24
Direct
0.747 0.829 0.048
0.747 0.171 0.952
0.253 0.671 0.548
0.253 0.329 0.452
0.253 0.171 0.952
0.253 0.829 0.048
0.747 0.329 0.452
0.747 0.671 0.548
0.500 0.835 0.319
0.500 0.165 0.681
0.500 0.665 0.819
0.500 0.335 0.181
0.753 0.587 0.250
0.753 0.413 0.750
0.247 0.913 0.750
0.247 0.087 0.250
0.247 0.413 0.750
0.247 0.587 0.250
0.753 0.087 0.250
0.753 0.913 0.750
0.746 0.000 0.500
0.254 0.500 0.000
0.254 0.000 0.500
0.746 0.500 0.000
0.844 0.836 0.319
0.844 0.164 0.681
0.156 0.664 0.819
0.156 0.336 0.181
0.156 0.164 0.681
0.156 0.836 0.319
0.844 0.336 0.181
0.844 0.664 0.819
0.500 0.539 0.385
0.500 0.461 0.615
0.500 0.961 0.885
0.500 0.039 0.115
0.000 0.536 0.387
0.000 0.464 0.613
0.000 0.964 0.887
0.000 0.036 0.113
0.500 0.632 0.100
0.500 0.368 0.900
0.500 0.868 0.600
0.500 0.132 0.400
0.000 0.629 0.092
0.000 0.371 0.908
0.000 0.871 0.592
0.000 0.129 0.408
```

Properties
Formation energy   -0.58 eV/atom
E   -673.72 eV per cell
Density   6.04 g cm⁻³
Total magnetic moment   0.774 μB/atom
Crystal system   orthorhombic

---

## ScMnGe (r²SCAN)

Data for a geometry-optimized ScMnGe structure.

```
ScMnGe
1.0
3.424 -5.930 0.000
3.424 5.930 0.000
0.000 0.000 3.895
Sc Mn Ge
3 3 3
Direct
0.409 0.409 0.500
0.591 0.000 0.500
0.000 0.591 0.500
0.750 0.750 0.000
0.250 0.000 0.000
0.000 0.250 0.000
0.667 0.333 0.000
0.333 0.667 0.000
0.000 0.000 0.500
```

Properties
Formation energy   -0.71 eV/atom
E   -126.24 eV per cell
Density   5.43 g cm⁻³
Total magnetic moment   1.195 μB/atom
Crystal system   hexagonal

---

## TaMnGe (r²SCAN)

Data for a geometry-optimized TaMnGe structure.

```
TaMnGe
1.0
3.281 -5.684 0.000
3.281 5.684 0.000
0.000 0.000 3.672
Ta Mn Ge
3 3 3
Direct
0.416 0.416 0.500
0.584 0.000 0.500
0.000 0.584 0.500
0.751 0.751 0.000
0.249 0.000 0.000
0.000 0.249 0.000
0.667 0.333 0.000
0.333 0.667 0.000
0.000 0.000 0.500
```

Properties
Formation energy   -0.35 eV/atom
E   -234.63 eV per cell
Density   11.22 g cm⁻³
Total magnetic moment   0.997 μB/atom
Crystal system   hexagonal

---

## TbMn2Ge2 (r²SCAN)

Data for a geometry-optimized TbMn2Ge2 structure.

```
TbMn2Ge2
1.0
-3.014 2.492 1.162
-2.234 -1.215 -3.191
0.464 -4.672 4.062
Tb Mn Ge
1 2 2
Direct
0.000 0.000 0.000
0.250 0.750 0.500
0.750 0.250 0.500
0.613 0.613 0.225
0.387 0.387 0.775
```

Properties
Formation energy   -0.64 eV/atom
E   -91.52 eV per cell
Density   7.51 g cm⁻³
Total magnetic moment   1.479 μB/atom
Crystal system   tetragonal

---

## TbMn6Ge6 (r²SCAN)

Data for a geometry-optimized TbMn6Ge6 structure.

```
TbMn6Ge6
1.0
5.168 0.000 0.000
-2.584 4.476 0.000
0.000 0.000 8.173
Tb Mn Ge
1 6 6
Direct
0.000 0.000 0.000
0.500 0.000 0.252
0.500 0.500 0.252
0.000 0.500 0.252
0.500 0.000 0.748
0.500 0.500 0.748
0.000 0.500 0.748
0.000 0.000 0.656
0.333 0.667 0.000
0.667 0.333 0.000
0.333 0.667 0.500
0.667 0.333 0.500
0.000 0.000 0.344
```

Properties
Formation energy   -0.34 eV/atom
E   -207.02 eV per cell
Density   8.12 g cm⁻³
Total magnetic moment   0.998 μB/atom
Crystal system   hexagonal

---

## TmMn2Ge2 (r²SCAN)

Data for a geometry-optimized TmMn2Ge2 structure.

```
TmMn2Ge2
1.0
-2.916 -2.409 1.421
0.863 -2.728 -2.853
4.621 0.196 4.072
Tm Mn Ge
1 2 2
Direct
0.000 0.000 0.000
0.250 0.750 0.500
0.750 0.250 0.500
0.612 0.612 0.224
0.388 0.388 0.776
```

Properties
Formation energy   -0.59 eV/atom
E   -95.18 eV per cell
Density   7.90 g cm⁻³
Total magnetic moment   1.459 μB/atom
Crystal system   tetragonal

---

## ZrMn6Ge6 (r²SCAN)

Data for a geometry-optimized ZrMn6Ge6 structure.

```
ZrMn6Ge6
1.0
0.470 2.601 -4.373
-1.541 2.394 4.243
7.753 1.712 1.851
Zr Mn Ge
1 6 6
Direct
0.000 0.000 0.500
0.500 0.000 0.250
0.500 0.500 0.250
0.000 0.500 0.250
0.500 0.000 0.750
0.500 0.500 0.750
0.000 0.500 0.750
0.000 0.000 0.162
0.000 0.000 0.838
0.333 0.667 0.500
0.667 0.333 0.500
0.333 0.667 0.000
0.667 0.333 0.000
```

Properties
Formation energy   -0.34 eV/atom
E   -198.55 eV per cell
Density   7.72 g cm⁻³
Total magnetic moment   1.026 μB/atom
Crystal system   hexagonal

---

## Ge2Mo (r²SCAN)

Data for a geometry-optimized Ge2Mo structure.

```
Ge2Mo
1.0
-1.496 0.704 2.879
1.587 -2.534 1.444
3.041 3.413 -1.168
Ge Mo
2 1
Direct
0.662 0.662 0.323
0.338 0.338 0.677
0.000 0.000 0.000
```

Properties
Formation energy   -0.11 eV/atom
E   -54.13 eV per cell
Density   8.88 g cm⁻³
Total magnetic moment   0.000 μB/atom
Crystal system   tetragonal

---

## Ge2Mo (r²SCAN)

Data for a geometry-optimized Ge2Mo structure.

```
Ge2Mo
1.0
-2.849 1.967 -0.052
-3.608 -5.214 0.359
0.169 0.473 8.565
Ge Mo
8 4
Direct
0.250 0.437 0.869
0.750 0.563 0.131
0.250 0.937 0.631
0.750 0.063 0.369
0.750 0.135 0.960
0.250 0.865 0.040
0.750 0.635 0.540
0.250 0.365 0.460
0.250 0.750 0.329
0.750 0.250 0.671
0.250 0.250 0.171
0.750 0.750 0.829
```

Properties
Formation energy   -0.15 eV/atom
E   -217.07 eV per cell
Density   8.49 g cm⁻³
Total magnetic moment   0.000 μB/atom
Crystal system   orthorhombic

---

## Ge2N2O (r²SCAN)

Data for a geometry-optimized Ge2N2O structure.

```
Ge2N2O
1.0
-5.046 -0.203 -0.884
0.193 -5.485 0.159
-0.938 2.563 4.764
Ge N O
4 4 2
Direct
0.382 0.980 0.330
0.882 0.020 0.670
0.882 0.670 0.020
0.382 0.330 0.980
0.232 0.664 0.079
0.732 0.336 0.921
0.732 0.921 0.336
0.232 0.079 0.664
0.300 0.242 0.242
0.800 0.758 0.758
```

Properties
Formation energy   -0.68 eV/atom
E   -110.73 eV per cell
Density   4.55 g cm⁻³
Total magnetic moment   0.000 μB/atom
Crystal system   orthorhombic

---

## Sr6Ge5N2 (r²SCAN)

Data for a geometry-optimized Sr6Ge5N2 structure.

```
Sr6Ge5N2
1.0
-0.491 -0.640 -3.949
5.882 -6.947 0.395
-13.568 -11.289 3.520
Sr Ge N
12 10 4
Direct
0.000 0.463 0.360
0.500 0.114 0.684
0.500 0.760 0.500
0.500 0.537 0.860
0.000 0.886 0.184
0.000 0.240 0.000
0.500 0.838 0.000
0.500 0.537 0.140
0.000 0.162 0.500
0.000 0.886 0.816
0.500 0.114 0.316
0.000 0.463 0.640
0.500 0.420 0.500
0.000 0.855 0.630
0.500 0.738 0.694
0.000 0.262 0.806
0.000 0.580 0.000
0.500 0.145 0.130
0.000 0.855 0.370
0.500 0.145 0.870
0.500 0.738 0.306
0.000 0.262 0.194
0.500 0.293 0.417
0.000 0.707 0.083
0.000 0.707 0.917
0.500 0.293 0.583
```

Properties
Formation energy   -0.77 eV/atom
E   -376.89 eV per cell
Density   4.61 g cm⁻³
Total magnetic moment   0.000 μB/atom
Crystal system   orthorhombic